[1]
# MnH9C4N3O6 | Materials Project | PBE with a Hubbard U | optimized geometry
data_MnH9C4N3O6
_cell_length_a 8.767
_cell_length_b 12.214
_cell_length_c 9.149
_cell_angle_alpha 90.00
_cell_angle_beta 90.00
_cell_angle_gamma 90.00
_space_group_name_H-M_alt 'P n n a'
_space_group_IT_number 52
loop_
_space_group_symop_operation_xyz
'x,y,z'
'-x,-y,-z'
'-x+1/2,-y,z'
'x+1/2,y,-z'
'x,-y+1/2,-z+1/2'
'-x,y+1/2,z+1/2'
'-x+1/2,y+1/2,-z+1/2'
'x+1/2,-y+1/2,z+1/2'
loop_
_atom_site_label
_atom_site_type_symbol
_atom_site_fract_x
_atom_site_fract_y
_atom_site_fract_z
_atom_site_occupancy
Mn1 Mn 0.249 0.250 0.250 1
H1 H 0.090 0.225 0.573 1
H2 H 0.094 0.623 0.755 1
H3 H 0.172 0.576 0.924 1
H4 H 0.189 0.558 0.538 1
H5 H 0.250 0.000 0.187 1
C1 C 0.015 0.217 0.988 1
C2 C 0.250 0.000 0.308 1
C3 C 0.250 0.000 0.760 1
N1 N 0.165 0.573 0.812 1
N2 N 0.250 0.000 0.907 1
O1 O 0.054 0.191 0.116 1
O2 O 0.105 0.683 0.424 1
O3 O 0.242 0.592 0.127 1
# ρ = 1.70 g/cm3
# final energy = -6.40 eV/atom
# energy of formation = -0.9458 eV per atom

***

[2]
# MgV12Zn6O24 | Materials Project | PBE with a Hubbard U | optimized geometry
data_MgV12Zn6O24
_cell_length_a 6.107
_cell_length_b 6.141
_cell_length_c 15.097
_cell_angle_alpha 88.50
_cell_angle_beta 89.95
_cell_angle_gamma 60.31
_space_group_name_H-M_alt 'P 1'
_space_group_IT_number 1
loop_
_space_group_symop_operation_xyz
'x,y,z'
loop_
_atom_site_label
_atom_site_type_symbol
_atom_site_fract_x
_atom_site_fract_y
_atom_site_fract_z
_atom_site_occupancy
Mg1 Mg 0.000 0.000 0.000 1
V1 V 0.036 0.427 0.615 1
V2 V 0.037 0.928 0.615 1
V3 V 0.199 0.110 0.290 1
V4 V 0.200 0.603 0.410 1
V5 V 0.215 0.574 0.781 1
V6 V 0.371 0.260 0.951 1
V7 V 0.425 0.721 0.937 1
V8 V 0.513 0.973 0.120 1
V9 V 0.539 0.427 0.615 1
V10 V 0.692 0.109 0.291 1
V11 V 0.692 0.619 0.291 1
V12 V 0.857 0.718 0.937 1
Zn1 Zn 0.193 0.615 0.160 1
Zn2 Zn 0.534 0.935 0.500 1
Zn3 Zn 0.539 0.924 0.735 1
Zn4 Zn 0.818 0.359 0.103 1
Zn5 Zn 0.867 0.269 0.454 1
Zn6 Zn 0.881 0.241 0.815 1
O1 O 0.020 0.953 0.364 1
O2 O 0.031 0.426 0.365 1
O3 O 0.055 0.891 0.873 1
O4 O 0.058 0.421 0.861 1
O5 O 0.179 0.110 0.542 1
O6 O 0.187 0.628 0.023 1
O7 O 0.192 0.136 0.045 1
O8 O 0.201 0.601 0.539 1
O9 O 0.359 0.284 0.691 1
O10 O 0.359 0.738 0.694 1
O11 O 0.366 0.808 0.208 1
O12 O 0.376 0.261 0.213 1
O13 O 0.524 0.423 0.861 1
O14 O 0.532 0.938 0.362 1
O15 O 0.537 0.930 0.869 1
O16 O 0.546 0.437 0.365 1
O17 O 0.669 0.662 0.035 1
O18 O 0.672 0.136 0.046 1
O19 O 0.712 0.111 0.542 1
O20 O 0.714 0.577 0.541 1
O21 O 0.825 0.794 0.208 1
O22 O 0.856 0.288 0.226 1
O23 O 0.875 0.253 0.686 1
O24 O 0.907 0.738 0.695 1
# ρ = 4.77 g/cm3
# final energy = -6.88 eV/atom
# energy of formation = -2.2273 eV per atom

***

[3]
# LiCr2P3O12 | Materials Project | PBE with a Hubbard U | optimized geometry
data_LiCr2P3O12
_cell_length_a 18.145
_cell_length_b 6.074
_cell_length_c 8.102
_cell_angle_alpha 90.00
_cell_angle_beta 107.11
_cell_angle_gamma 90.00
_space_group_name_H-M_alt 'C 1 2/c 1'
_space_group_IT_number 15
loop_
_space_group_symop_operation_xyz
'x,y,z'
'-x,-y,-z'
'-x,y,-z+1/2'
'x,-y,z+1/2'
'x+1/2,y+1/2,z'
'-x+1/2,-y+1/2,-z'
'-x+1/2,y+1/2,-z+1/2'
'x+1/2,-y+1/2,z+1/2'
loop_
_atom_site_label
_atom_site_type_symbol
_atom_site_fract_x
_atom_site_fract_y
_atom_site_fract_z
_atom_site_occupancy
Li1 Li 0.000 0.084 0.250 1
Cr1 Cr 0.133 0.327 0.092 1
P1 P 0.000 0.454 0.750 1
P2 P 0.180 0.185 0.725 1
O1 O 0.033 0.296 0.904 1
O2 O 0.063 0.380 0.232 1
O3 O 0.128 0.021 0.167 1
O4 O 0.142 0.354 0.582 1
O5 O 0.178 0.258 0.907 1
O6 O 0.236 0.351 0.265 1
# ρ = 3.08 g/cm3
# final energy = -7.10 eV/atom
# energy of formation = -2.4013 eV per atom

***

[4]
# CaMnBiO5 | Materials Project | PBE with a Hubbard U | optimized geometry
data_CaMnBiO5
_cell_length_a 5.545
_cell_length_b 15.579
_cell_length_c 11.347
_cell_angle_alpha 90.00
_cell_angle_beta 90.00
_cell_angle_gamma 90.00
_space_group_name_H-M_alt 'P b c a'
_space_group_IT_number 61
loop_
_space_group_symop_operation_xyz
'x,y,z'
'-x,-y,-z'
'-x+1/2,-y,z+1/2'
'x+1/2,y,-z+1/2'
'x+1/2,-y+1/2,-z'
'-x+1/2,y+1/2,z'
'-x,y+1/2,-z+1/2'
'x,-y+1/2,z+1/2'
loop_
_atom_site_label
_atom_site_type_symbol
_atom_site_fract_x
_atom_site_fract_y
_atom_site_fract_z
_atom_site_occupancy
Ca1 Ca 0.002 0.051 0.141 1
Mn1 Mn 0.018 0.098 0.595 1
Bi1 Bi 0.048 0.733 0.153 1
O1 O 0.063 0.196 0.669 1
O2 O 0.124 0.526 0.818 1
O3 O 0.168 0.626 0.023 1
O4 O 0.205 0.567 0.546 1
O5 O 0.239 0.152 0.266 1
# ρ = 5.20 g/cm3
# final energy = -6.40 eV/atom
# energy of formation = -2.0633 eV per atom

***

[5]
# Li4V3P8O29 | Materials Project | PBE with a Hubbard U | optimized geometry
data_Li4V3P8O29
_cell_length_a 16.961
_cell_length_b 9.819
_cell_length_c 14.018
_cell_angle_alpha 90.00
_cell_angle_beta 90.25
_cell_angle_gamma 90.00
_space_group_name_H-M_alt 'C 1 2 1'
_space_group_IT_number 5
loop_
_space_group_symop_operation_xyz
'x,y,z'
'-x,y,-z'
'x+1/2,y+1/2,z'
'-x+1/2,y+1/2,-z'
loop_
_atom_site_label
_atom_site_type_symbol
_atom_site_fract_x
_atom_site_fract_y
_atom_site_fract_z
_atom_site_occupancy
Li1 Li 0.045 0.000 0.191 1
Li2 Li 0.113 0.517 0.190 1
Li3 Li 0.158 0.661 0.809 1
Li4 Li 0.161 0.795 0.310 1
V1 V 0.000 0.163 0.000 1
V2 V 0.000 0.294 0.500 1
V3 V 0.215 0.949 0.506 1
V4 V 0.216 0.511 0.001 1
P1 P 0.042 0.455 0.907 1
P2 P 0.044 0.001 0.408 1
P3 P 0.114 0.524 0.410 1
P4 P 0.115 0.929 0.908 1
P5 P 0.160 0.655 0.592 1
P6 P 0.160 0.800 0.093 1
P7 P 0.166 0.227 0.123 1
P8 P 0.168 0.232 0.622 1
O1 O 0.000 0.518 0.000 1
O2 O 0.000 0.937 0.500 1
O3 O 0.003 0.488 0.180 1
O4 O 0.004 0.968 0.317 1
O5 O 0.041 0.025 0.912 1
O6 O 0.043 0.428 0.415 1
O7 O 0.047 0.157 0.428 1
O8 O 0.047 0.298 0.928 1
O9 O 0.091 0.148 0.079 1
O10 O 0.092 0.299 0.576 1
O11 O 0.104 0.623 0.501 1
O12 O 0.104 0.837 0.004 1
O13 O 0.117 0.841 0.823 1
O14 O 0.120 0.605 0.320 1
O15 O 0.122 0.848 0.183 1
O16 O 0.124 0.614 0.683 1
O17 O 0.126 0.515 0.910 1
O18 O 0.128 0.939 0.414 1
O19 O 0.162 0.377 0.084 1
O20 O 0.163 0.223 0.229 1
O21 O 0.168 0.080 0.576 1
O22 O 0.168 0.224 0.727 1
O23 O 0.168 0.643 0.090 1
O24 O 0.173 0.812 0.582 1
O25 O 0.190 0.015 0.925 1
O26 O 0.191 0.440 0.427 1
O27 O 0.239 0.582 0.571 1
O28 O 0.240 0.868 0.074 1
O29 O 0.242 0.157 0.083 1
O30 O 0.243 0.303 0.581 1
# ρ = 2.54 g/cm3
# final energy = -7.04 eV/atom
# energy of formation = -2.5708 eV per atom

***

[6]
# Na2CoGeO4 | Materials Project | PBE with a Hubbard U | optimized geometry
data_Na2CoGeO4
_cell_length_a 5.407
_cell_length_b 5.686
_cell_length_c 9.026
_cell_angle_alpha 90.00
_cell_angle_beta 126.78
_cell_angle_gamma 90.00
_space_group_name_H-M_alt 'P 1 c 1'
_space_group_IT_number 7
loop_
_space_group_symop_operation_xyz
'x,y,z'
'x,-y,z+1/2'
loop_
_atom_site_label
_atom_site_type_symbol
_atom_site_fract_x
_atom_site_fract_y
_atom_site_fract_z
_atom_site_occupancy
Na1 Na 0.000 0.177 0.000 1
Na2 Na 0.748 0.322 0.244 1
Co1 Co 0.265 0.314 0.751 1
Ge1 Ge 0.516 0.185 0.497 1
O1 O 0.227 0.347 0.295 1
O2 O 0.406 0.118 0.971 1
O3 O 0.580 0.295 0.703 1
O4 O 0.869 0.207 0.523 1
# ρ = 3.61 g/cm3
# final energy = -5.66 eV/atom
# energy of formation = -1.9413 eV per atom
# piezoelectric modulus e_max = 1.38 C/m²

***

[7]
# LiVP3H8O13 | Materials Project | PBE with a Hubbard U | optimized geometry
data_LiVP3H8O13
_cell_length_a 7.095
_cell_length_b 7.757
_cell_length_c 10.025
_cell_angle_alpha 83.72
_cell_angle_beta 74.98
_cell_angle_gamma 78.00
_space_group_name_H-M_alt 'P -1'
_space_group_IT_number 2
loop_
_space_group_symop_operation_xyz
'x,y,z'
'-x,-y,-z'
loop_
_atom_site_label
_atom_site_type_symbol
_atom_site_fract_x
_atom_site_fract_y
_atom_site_fract_z
_atom_site_occupancy
Li1 Li 0.000 0.000 0.000 1
Li2 Li 0.000 0.500 0.500 1
V1 V 0.199 0.173 0.223 1
P1 P 0.241 0.804 0.476 1
P2 P 0.327 0.802 0.742 1
P3 P 0.405 0.541 0.270 1
H1 H 0.080 0.260 0.795 1
H2 H 0.099 0.659 0.086 1
H3 H 0.144 0.338 0.988 1
H4 H 0.180 0.184 0.569 1
H5 H 0.310 0.305 0.602 1
H6 H 0.313 0.858 0.102 1
H7 H 0.351 0.375 0.994 1
H8 H 0.358 0.982 0.968 1
O1 O 0.025 0.253 0.898 1
O2 O 0.081 0.709 0.559 1
O3 O 0.111 0.853 0.812 1
O4 O 0.174 0.284 0.622 1
O5 O 0.194 0.960 0.381 1
O6 O 0.215 0.373 0.052 1
O7 O 0.239 0.440 0.327 1
O8 O 0.272 0.981 0.063 1
O9 O 0.363 0.858 0.577 1
O10 O 0.380 0.589 0.747 1
O11 O 0.413 0.653 0.137 1
O12 O 0.423 0.659 0.390 1
O13 O 0.475 0.874 0.793 1
# ρ = 2.34 g/cm3
# final energy = -6.13 eV/atom
# energy of formation = -1.9773 eV per atom

***

> What is the final energy in the first record?

-6.40 eV/atom

***

> Among the records above, which one has the lowest final energy?

LiCr2P3O12